Crystalline Li3CuNi3O8 at its relaxed geometry. Source: the Materials Project database, functional PBE with a Hubbard U.

Values from the calculation:
Offset from the most stable computed form, meV/atom: 40

Lattice parameters (Å, degrees): 5.8361 5.8361 5.8361 59.33 59.33 59.33
Atoms (fractional coordinates):
Li 0.0000 0.5000 0.5000
Li 0.5000 0.0000 0.5000
Li 0.5000 0.5000 0.0000
Cu 0.5000 0.5000 0.5000
Ni 0.0000 0.0000 0.5000
Ni 0.0000 0.5000 0.0000
Ni 0.5000 0.0000 0.0000
O 0.2247 0.7413 0.7413
O 0.2456 0.2456 0.2456
O 0.2587 0.2587 0.7753
O 0.2587 0.7753 0.2587
O 0.7413 0.2247 0.7413
O 0.7413 0.7413 0.2247
O 0.7544 0.7544 0.7544
O 0.7753 0.2587 0.2587

Crystalline Li3Mn4B4O12 at its relaxed geometry. Source: the Materials Project database, functional PBE with a Hubbard U.

Values from the calculation:
Offset from the most stable computed form, meV/atom: 5

Lattice parameters (Å, degrees): 9.0988 9.1245 11.6071 66.95 68.42 60.29
Atoms (fractional coordinates):
Li 0.0000 0.0000 0.0000
Li 0.0208 0.3569 0.2469
Li 0.1450 0.1456 0.5114
Li 0.3125 0.3376 0.0107
Li 0.5033 0.4643 0.5011
Li 0.5368 0.8500 0.7538
Li 0.6649 0.6875 0.9960
Li 0.7085 0.0105 0.2483
Li 0.8283 0.8226 0.5171
Mn 0.0665 0.6967 0.2233
Mn 0.1848 0.8171 0.4676
Mn 0.1915 0.1976 0.7217
Mn 0.3505 0.6681 0.9718
Mn 0.3756 0.0229 0.2233
Mn 0.4979 0.1549 0.4699
Mn 0.5368 0.5049 0.7252
Mn 0.6707 0.0213 0.9666
Mn 0.6744 0.3825 0.2224
Mn 0.8335 0.5290 0.4686
Mn 0.8974 0.8799 0.7210
Mn 0.9842 0.3466 0.9702
B 0.0152 0.6728 0.9665
B 0.0272 0.0546 0.2107
B 0.1814 0.4926 0.4705
B 0.2201 0.8492 0.7125
B 0.3416 0.0138 0.9657
B 0.3728 0.3592 0.2143
B 0.5202 0.8244 0.4609
B 0.5396 0.1759 0.7076
B 0.6728 0.3406 0.9670
B 0.7228 0.7065 0.2126
B 0.8416 0.1740 0.4696
B 0.8626 0.5416 0.7163
O 0.0173 0.6073 0.4384
O 0.0790 0.7501 0.0083
O 0.0850 0.4976 0.9803
O 0.1308 0.0250 0.6971
O 0.1510 0.7620 0.6830
O 0.1573 0.9734 0.2759
O 0.1774 0.1091 0.9340
O 0.2251 0.3138 0.5104
O 0.2739 0.2912 0.2045
O 0.2869 0.5643 0.4588
O 0.3275 0.5379 0.1772
O 0.3564 0.9318 0.4340
O 0.3748 0.7533 0.7550
O 0.3989 0.0900 0.0133
O 0.4434 0.8490 0.9463
O 0.4680 0.0968 0.6748
O 0.4755 0.3513 0.6835
O 0.5129 0.4205 0.9316
O 0.5261 0.2474 0.2595
O 0.5753 0.6422 0.4932
O 0.6294 0.8945 0.4519
O 0.6518 0.8886 0.1801
O 0.6670 0.6221 0.1770
O 0.6800 0.0688 0.7674
O 0.6886 0.2532 0.4263
O 0.7205 0.4430 0.9991
O 0.7781 0.1706 0.9704
O 0.7958 0.7159 0.7057
O 0.8030 0.4782 0.6565
O 0.8635 0.6109 0.2770
O 0.8664 0.7839 0.9126
O 0.9055 0.9903 0.5297
O 0.9316 0.2684 0.4504
O 0.9546 0.9645 0.1951
O 0.9619 0.2400 0.1606
O 0.9918 0.4157 0.7842

Crystalline Li6V3P8O29 at its relaxed geometry. Source: the Materials Project database, functional PBE with a Hubbard U.

Values from the calculation:
Offset from the most stable computed form, meV/atom: 5

Lattice parameters (Å, degrees): 9.8117 9.8151 13.9416 90.09 90.04 119.97
Atoms (fractional coordinates):
Li 0.0000 0.0000 0.0000
Li 0.0055 0.5594 0.5010
Li 0.1378 0.5524 0.0027
Li 0.1439 0.1390 0.5009
Li 0.2261 0.3183 0.8788
Li 0.2488 0.8981 0.3233
Li 0.5739 0.5584 0.0544
Li 0.5835 0.9999 0.4995
Li 0.6845 0.9217 0.8783
Li 0.8115 0.8966 0.3785
Li 0.8202 0.4525 0.8817
Li 0.9213 0.2676 0.4327
V 0.3457 0.2284 0.6887
V 0.3472 0.6616 0.1924
V 0.4747 0.7966 0.6889
V 0.4791 0.2305 0.1908
V 0.9094 0.7926 0.1900
V 0.9096 0.6598 0.6894
P 0.0019 0.5455 0.2837
P 0.1359 0.1395 0.2855
P 0.1434 0.5495 0.7839
P 0.2201 0.4541 0.5985
P 0.2284 0.3175 0.0980
P 0.2418 0.8949 0.5647
P 0.2441 0.8962 0.0681
P 0.5773 0.5626 0.3130
P 0.5772 0.5639 0.8112
P 0.5943 0.1446 0.7829
P 0.5957 0.0035 0.2800
P 0.6804 0.9079 0.0938
P 0.6847 0.3127 0.5957
P 0.8181 0.4566 0.0990
P 0.8209 0.9111 0.5974
P 0.9987 0.9968 0.7804
O 0.0100 0.8475 0.7604
O 0.0136 0.7094 0.2728
O 0.0895 0.8894 0.1113
O 0.0985 0.7392 0.6036
O 0.1134 0.4378 0.5171
O 0.1231 0.4337 0.6973
O 0.1246 0.2282 0.1906
O 0.1296 0.2223 0.3743
O 0.1487 0.2243 0.0090
O 0.1583 0.4778 0.8754
O 0.1629 0.1456 0.7805
O 0.1680 0.5705 0.2771
O 0.2304 0.0392 0.6032
O 0.2371 0.8953 0.9620
O 0.2398 0.4800 0.0973
O 0.2407 0.8931 0.4567
O 0.2486 0.3113 0.6015
O 0.2489 0.7490 0.1094
O 0.2844 0.1232 0.2747
O 0.2909 0.7110 0.7626
O 0.3760 0.6089 0.6078
O 0.3832 0.0463 0.1159
O 0.3960 0.3422 0.1109
O 0.3985 0.9079 0.6033
O 0.4238 0.4152 0.7733
O 0.4295 0.8544 0.2707
O 0.4321 0.1334 0.7619
O 0.4326 0.5679 0.2665
O 0.5314 0.3166 0.6064
O 0.5366 0.7407 0.1104
O 0.5721 0.4145 0.2668
O 0.5720 0.9766 0.7802
O 0.5764 0.1481 0.2786
O 0.5780 0.5661 0.9191
O 0.5803 0.5709 0.4188
O 0.5828 0.7168 0.7715
O 0.6536 0.8919 0.6003
O 0.6552 0.3110 0.0995
O 0.6699 0.9843 0.0046
O 0.6745 0.2352 0.8701
O 0.6820 0.9986 0.3690
O 0.6968 0.0123 0.1876
O 0.7021 0.2283 0.5113
O 0.7028 0.2293 0.6906
O 0.7252 0.5571 0.7737
O 0.7285 0.7135 0.2710
O 0.7961 0.6027 0.1134
O 0.8134 0.7535 0.6109
O 0.8284 0.4844 0.6016
O 0.8313 0.8943 0.0972
O 0.9062 0.0000 0.5084
O 0.9089 0.0194 0.6901
O 0.9092 0.4424 0.1910
O 0.9094 0.9831 0.8705
O 0.9139 0.4766 0.0105
O 0.9208 0.4601 0.3736
O 0.9879 0.9734 0.2812
O 0.9940 0.5646 0.7823

Crystalline BaCaEuWO6 at its relaxed geometry. Source: the Materials Project database, functional PBE with a Hubbard U.

Values from the calculation:
Offset from the most stable computed form, meV/atom: 0

Lattice parameters (Å, degrees): 5.9321 5.9575 8.3914 90.74 90.45 90.29
Atoms (fractional coordinates):
Ba 0.0038 0.0254 0.2508
Ba 0.9962 0.9746 0.7492
Ca 0.0000 0.5000 0.5000
Ca 0.5000 0.0000 0.0000
Eu 0.4940 0.5401 0.2525
Eu 0.5060 0.4599 0.7475
W 0.0000 0.5000 0.0000
W 0.5000 0.0000 0.5000
O 0.0856 0.5020 0.7732
O 0.1974 0.7594 0.0383
O 0.2400 0.8001 0.4714
O 0.2606 0.3061 0.0452
O 0.3126 0.2674 0.4589
O 0.4416 0.0348 0.7290
O 0.5584 0.9652 0.2710
O 0.6874 0.7326 0.5411
O 0.7394 0.6939 0.9548
O 0.7600 0.1999 0.5286
O 0.8026 0.2406 0.9617
O 0.9144 0.4980 0.2268

Crystalline Sb2Te3MoC4O4F12 at its relaxed geometry. Source: the Materials Project database, functional PBE with a Hubbard U.

Lattice parameters (Å, degrees): 15.6034 8.5857 14.8665 90.00 90.00 90.00
Atoms (fractional coordinates):
Sb 0.0379 0.2500 0.2467
Sb 0.1556 0.7500 0.0564
Sb 0.3444 0.2500 0.5564
Sb 0.4621 0.7500 0.7467
Sb 0.5379 0.2500 0.2533
Sb 0.6556 0.7500 0.4436
Sb 0.8444 0.2500 0.9436
Sb 0.9621 0.7500 0.7533
Te 0.1287 0.2500 0.9450
Te 0.2152 0.0887 0.8116
Te 0.2152 0.4113 0.8116
Te 0.2848 0.5887 0.3116
Te 0.2848 0.9113 0.3116
Te 0.3713 0.7500 0.4450
Te 0.6287 0.2500 0.5550
Te 0.7152 0.0887 0.6884
Te 0.7152 0.4113 0.6884
Te 0.7848 0.5887 0.1884
Te 0.7848 0.9113 0.1884
Te 0.8713 0.7500 0.0550
Mo 0.1869 0.7500 0.4452
Mo 0.3131 0.2500 0.9452
Mo 0.6869 0.7500 0.0548
Mo 0.8131 0.2500 0.5548
C 0.0700 0.7500 0.3782
C 0.1306 0.5469 0.4860
C 0.1306 0.9531 0.4860
C 0.2016 0.7500 0.5812
C 0.2984 0.2500 0.0812
C 0.3694 0.0469 0.9860
C 0.3694 0.4531 0.9860
C 0.4300 0.2500 0.8782
C 0.5700 0.7500 0.1218
C 0.6306 0.5469 0.0140
C 0.6306 0.9531 0.0140
C 0.7016 0.7500 0.9188
C 0.7984 0.2500 0.4188
C 0.8694 0.0469 0.5140
C 0.8694 0.4531 0.5140
C 0.9300 0.2500 0.6218
O 0.0043 0.7500 0.3433
O 0.0958 0.0647 0.5088
O 0.0958 0.4353 0.5088
O 0.2087 0.7500 0.6585
O 0.2913 0.2500 0.1585
O 0.4042 0.5647 0.0088
O 0.4042 0.9353 0.0088
O 0.4957 0.2500 0.8433
O 0.5043 0.7500 0.1567
O 0.5958 0.0647 0.9912
O 0.5958 0.4353 0.9912
O 0.7087 0.7500 0.8415
O 0.7913 0.2500 0.3415
O 0.9042 0.5647 0.4912
O 0.9042 0.9353 0.4912
O 0.9957 0.2500 0.6567
F 0.0072 0.7500 0.6334
F 0.0427 0.5913 0.7867
F 0.0427 0.9087 0.7867
F 0.0840 0.5890 0.0073
F 0.0840 0.9110 0.0073
F 0.0845 0.2500 0.1261
F 0.0906 0.7500 0.1653
F 0.1202 0.0925 0.2801
F 0.1202 0.4075 0.2801
F 0.2206 0.7500 0.9460
F 0.2305 0.5932 0.1061
F 0.2305 0.9068 0.1061
F 0.2695 0.0932 0.6061
F 0.2695 0.4068 0.6061
F 0.2794 0.2500 0.4460
F 0.3798 0.5925 0.7801
F 0.3798 0.9075 0.7801
F 0.4094 0.2500 0.6653
F 0.4155 0.7500 0.6261
F 0.4160 0.0890 0.5073
F 0.4160 0.4110 0.5073
F 0.4573 0.0913 0.2867
F 0.4573 0.4087 0.2867
F 0.4928 0.2500 0.1334
F 0.5072 0.7500 0.8666
F 0.5427 0.5913 0.7133
F 0.5427 0.9087 0.7133
F 0.5840 0.5890 0.4927
F 0.5840 0.9110 0.4927
F 0.5845 0.2500 0.3739
F 0.5906 0.7500 0.3347
F 0.6202 0.0925 0.2199
F 0.6202 0.4075 0.2199
F 0.7206 0.7500 0.5540
F 0.7305 0.5932 0.3939
F 0.7305 0.9068 0.3939
F 0.7695 0.0932 0.8939
F 0.7695 0.4068 0.8939
F 0.7794 0.2500 0.0540
F 0.8798 0.5925 0.7199
F 0.8798 0.9075 0.7199
F 0.9094 0.2500 0.8347
F 0.9155 0.7500 0.8739
F 0.9160 0.0890 0.9927
F 0.9160 0.4110 0.9927
F 0.9573 0.0913 0.2133
F 0.9573 0.4087 0.2133
F 0.9928 0.2500 0.3666

Crystalline NiS2O12 at its relaxed geometry. Source: the Materials Project database, functional PBE with a Hubbard U.

Values from the calculation:
Offset from the most stable computed form, meV/atom: 0

Lattice parameters (Å, degrees): 6.3859 7.2136 7.6246 111.24 97.51 94.56
Atoms (fractional coordinates):
Ni 0.0000 0.0000 0.0000
S 0.4922 0.4318 0.6918
S 0.5078 0.5682 0.3082
O 0.0475 0.7406 0.9213
O 0.0804 0.9284 0.2064
O 0.2312 0.0778 0.9167
O 0.2866 0.5952 0.2965
O 0.3279 0.2662 0.5862
O 0.4364 0.6304 0.7823
O 0.5636 0.3696 0.2177
O 0.6721 0.7338 0.4138
O 0.7134 0.4048 0.7035
O 0.7688 0.9222 0.0833
O 0.9196 0.0716 0.7936
O 0.9525 0.2594 0.0787

Crystalline Ta12MoO33 at its relaxed geometry. Source: the Materials Project database, functional PBE with a Hubbard U.

Lattice parameters (Å, degrees): 11.4576 11.4576 17.9662 122.89 122.89 19.40
Atoms (fractional coordinates):
Ta 0.0355 0.0346 0.2861
Ta 0.0835 0.0830 0.6197
Ta 0.1364 0.1308 0.9547
Ta 0.2020 0.2015 0.5265
Ta 0.2534 0.2534 0.8633
Ta 0.3674 0.3719 0.7677
Ta 0.6281 0.6326 0.2323
Ta 0.7466 0.7466 0.1367
Ta 0.7985 0.7980 0.4735
Ta 0.8692 0.8636 0.0453
Ta 0.9170 0.9165 0.3803
Ta 0.9654 0.9645 0.7139
Mo 0.7513 0.2487 0.0000
O 0.0003 0.9997 0.5000
O 0.0259 0.0252 0.6756
O 0.0488 0.0486 0.8443
O 0.0749 0.0701 0.0141
O 0.1062 0.1064 0.2311
O 0.1220 0.1213 0.4031
O 0.1473 0.1468 0.5739
O 0.1766 0.1762 0.7496
O 0.1958 0.1970 0.9171
O 0.2229 0.2228 0.1011
O 0.2787 0.2779 0.4811
O 0.2932 0.2910 0.6508
O 0.3224 0.3213 0.8255
O 0.3520 0.3510 0.0106
O 0.4098 0.4093 0.3689
O 0.4503 0.4496 0.7303
O 0.4644 0.4683 0.9009
O 0.5317 0.5356 0.0991
O 0.5504 0.5497 0.2697
O 0.5907 0.5902 0.6311
O 0.6490 0.6480 0.9894
O 0.6787 0.6776 0.1745
O 0.7090 0.7068 0.3492
O 0.7221 0.7213 0.5189
O 0.7772 0.7771 0.8989
O 0.8030 0.8042 0.0829
O 0.8238 0.8234 0.2504
O 0.8532 0.8527 0.4261
O 0.8787 0.8780 0.5969
O 0.8936 0.8938 0.7689
O 0.9299 0.9251 0.9859
O 0.9514 0.9512 0.1557
O 0.9748 0.9741 0.3244

Crystalline La2GaFeO6 at its relaxed geometry. Source: the Materials Project database, functional PBE with a Hubbard U.

Lattice parameters (Å, degrees): 7.9053 7.9059 7.9110 90.15 90.05 90.05
Atoms (fractional coordinates):
La 0.7503 0.4809 0.0113
La 0.7503 0.9809 0.5113
La 0.7496 0.4888 0.5191
La 0.7497 0.9888 0.0191
La 0.2497 0.5191 0.9887
La 0.2496 0.0191 0.4887
La 0.2503 0.5113 0.4809
La 0.2504 0.0112 0.9809
Ga 0.0000 0.2500 0.2500
Ga 0.0000 0.7500 0.7500
Ga 0.5000 0.2500 0.7500
Ga 0.5000 0.7500 0.2500
Fe 0.5000 0.7500 0.7500
Fe 0.0000 0.7500 0.2500
Fe 0.5000 0.2500 0.2500
Fe 0.0000 0.2500 0.7500
O 0.7486 0.7180 0.2016
O 0.7486 0.2180 0.7016
O 0.7514 0.2984 0.2820
O 0.7514 0.7984 0.7820
O 0.2514 0.2820 0.7984
O 0.2514 0.7820 0.2984
O 0.2486 0.7016 0.7180
O 0.2486 0.2016 0.2180
O 0.5433 0.4981 0.7819
O 0.5433 0.9981 0.2819
O 0.9567 0.2181 0.0019
O 0.9567 0.7181 0.5019
O 0.4567 0.5019 0.2181
O 0.4567 0.0019 0.7181
O 0.0433 0.7819 0.9981
O 0.0433 0.2819 0.4981
O 0.0431 0.4990 0.2177
O 0.0431 0.9990 0.7177
O 0.4568 0.7824 0.0009
O 0.4568 0.2824 0.5009
O 0.9569 0.5010 0.7823
O 0.9569 0.0010 0.2823
O 0.5432 0.2176 0.9991
O 0.5432 0.7176 0.4991

Number 1: ΔE_f -1.280 eV/atom. Number 2: ΔE_f -2.467 eV/atom. Number 3: ΔE_f -2.658 eV/atom. Number 4: ΔE_f -3.009 eV/atom. Number 5: ΔE_f -1.765 eV/atom. Number 6: ΔE_f -0.461 eV/atom. Number 7: ΔE_f -3.238 eV/atom. Number 8: ΔE_f -2.973 eV/atom.